1.
A relaxed UOs2 crystal, computed with PBE.

Summary:
ΔH_f (0 K): -0.090 eV/atom

Cell and atoms, written as POSCAR:
```
UOs2
1.0
0.000 3.760 3.760
3.760 0.000 3.760
3.760 3.760 0.000
U Os
2 4
Cartesian
0.940 0.940 0.940
6.580 6.580 6.580
3.760 1.880 1.880
1.880 3.760 1.880
1.880 1.880 3.760
3.760 3.760 3.760
```



2.
A relaxed UZn20Os2 crystal, computed with PBE.

Summary:
ΔH_f (0 K): -0.074 eV/atom

Cell and atoms, written as POSCAR:
```
UZn20Os2
1.0
0.000 7.159 7.159
7.159 0.000 7.159
7.159 7.159 0.000
U Zn Os
2 40 4
Cartesian
1.790 1.790 1.790
12.529 12.529 12.529
0.000 0.000 0.000
3.580 3.580 0.000
3.580 0.000 3.580
4.629 2.722 2.722
8.017 6.110 2.722
8.017 2.722 6.110
9.689 6.301 6.301
11.597 8.209 6.301
11.597 6.301 8.209
5.369 5.369 3.397
5.369 3.397 5.369
7.342 5.369 5.369
2.722 4.629 2.722
6.110 8.017 2.722
2.722 2.722 4.629
8.017 8.017 4.629
6.110 2.722 8.017
8.017 4.629 8.017
8.949 8.949 6.977
8.949 6.977 8.949
10.921 8.949 8.949
0.000 3.580 3.580
3.397 5.369 5.369
5.369 7.342 5.369
5.369 5.369 7.342
6.301 9.689 6.301
8.209 11.597 6.301
6.301 6.301 9.689
11.597 11.597 9.689
8.209 6.301 11.597
11.597 9.689 11.597
6.977 8.949 8.949
8.949 10.921 8.949
8.949 8.949 10.921
2.722 8.017 6.110
2.722 6.110 8.017
4.629 8.017 8.017
6.301 11.597 8.209
6.301 8.209 11.597
9.689 11.597 11.597
7.159 3.580 3.580
3.580 7.159 3.580
3.580 3.580 7.159
7.159 7.159 7.159
```



Repeat the first record exactly.
A relaxed UOs2 crystal, computed with PBE.

Summary:
ΔH_f (0 K): -0.090 eV/atom

Cell and atoms, written as POSCAR:
```
UOs2
1.0
0.000 3.760 3.760
3.760 0.000 3.760
3.760 3.760 0.000
U Os
2 4
Cartesian
0.940 0.940 0.940
6.580 6.580 6.580
3.760 1.880 1.880
1.880 3.760 1.880
1.880 1.880 3.760
3.760 3.760 3.760
```